Below is Ti6P2O after structural relaxation, with properties calculated at the PBE level.

Summary:
Energy of formation: -1206 kJ/mol of formula units
Space-group type: C2/m (12)
Calculated volume: 13.91 A^3/atom
Electronic total energy: -75.0 eV per cell
Crystal system: monoclinic

abc: 5.1856 5.1856 7.7334
angles: 91.28 91.28 37.02
With the nearest neighbours (Å) after each atom.
Sites, in units of the cell vectors:
Ti  0.0552  0.0552  0.2407  1 O 2.09
Ti  0.3608  0.3608  0.0558  3 P 2.48-2.57
Ti  0.3627  0.3627  0.4525  2 O 2.16
Ti  0.6373  0.6373  0.5475  2 O 2.16
Ti  0.6392  0.6392  0.9442  3 P 2.48-2.57
Ti  0.9448  0.9448  0.7593  1 O 2.09
P  0.2487  0.2487  0.7520  8 Ti 2.48-2.60
P  0.7513  0.7513  0.2480  8 Ti 2.48-2.60
O  0.0000  0.0000  0.5000  6 Ti 2.09-2.16

=====

Below is Mg6ZrV after structural relaxation, with properties calculated at the PBE level.

Summary:
Energy of formation: 153 kJ/mol of formula units
Calculated volume: 21.62 A^3/atom
Energy above the most stable polymorph in this dataset: 33 meV/atom
Electronic total energy: -51.3 eV per cell
Total magnetic moment: 6.75 Bohr magnetons per cell

abc: 5.0506 6.2172 11.0174
angles: 90.00 90.00 90.00
With the nearest neighbours (Å) after each atom.
Sites, in units of the cell vectors:
Mg  0.5000  0.2466  0.4177  8 Mg 3.07-3.15, 2 V 3.13-3.19, 2 Zr 3.16
Mg  0.5000  0.7534  0.4177  8 Mg 3.07-3.15, 2 V 3.13-3.19, 2 Zr 3.16
Mg  0.0000  0.7441  0.0882  8 Mg 3.02-3.30, 2 V 3.07, 2 Zr 3.11
Mg  0.0000  0.2559  0.0882  8 Mg 3.02-3.30, 2 V 3.07, 2 Zr 3.11
Mg  0.0000  0.0000  0.3299  2 Zr 3.10, 10 Mg 3.10-3.23
Mg  0.0000  0.5000  0.3256  10 Mg 3.02-3.30, 2 V 3.08
Mg  0.5000  0.7466  0.9177  8 Mg 3.07-3.15, 2 V 3.13-3.19, 2 Zr 3.16
Mg  0.5000  0.2534  0.9177  8 Mg 3.07-3.15, 2 V 3.13-3.19, 2 Zr 3.16
Mg  0.0000  0.2441  0.5882  8 Mg 3.02-3.30, 2 V 3.07, 2 Zr 3.11
Mg  0.0000  0.7559  0.5882  8 Mg 3.02-3.30, 2 V 3.07, 2 Zr 3.11
Mg  0.0000  0.5000  0.8299  2 Zr 3.10, 10 Mg 3.10-3.23
Mg  0.0000  0.0000  0.8256  10 Mg 3.02-3.30, 2 V 3.08
Zr  0.5000  0.0000  0.1667  10 Mg 3.10-3.16, 2 V 3.11
Zr  0.5000  0.5000  0.6667  10 Mg 3.10-3.16, 2 V 3.11
V  0.5000  0.5000  0.1659  10 Mg 3.07-3.19, 2 Zr 3.11
V  0.5000  0.0000  0.6659  10 Mg 3.07-3.19, 2 Zr 3.11

=====

Below is SrLa7ZnCu3O16 after structural relaxation, with properties calculated at the PBE level.

Summary:
Energy of formation: -7969 kJ/mol of formula units
Space-group type: P1 (1)
Calculated volume: 13.77 A^3/atom
Electronic total energy: -200.6 eV per cell
Total magnetic moment: 0.00 Bohr magnetons per cell
Crystal system: triclinic

abc: 5.4638 7.0661 10.4078
angles: 73.65 89.72 89.53
With the nearest neighbours (Å) after each atom.
Sites, in units of the cell vectors:
Sr  0.0000  0.0000  0.0000  3 O 2.40-2.66
La  0.0055  0.9150  0.6431  1 O 2.26
La  0.0059  0.4164  0.1370  2 O 2.30-2.57
La  0.4818  0.6680  0.8920  5 O 2.37-2.62
La  0.4839  0.1699  0.3902  6 O 2.39-2.65
La  0.5157  0.2461  0.7548  6 O 2.40-2.65
La  0.5163  0.7557  0.2451  5 O 2.36-2.64
La  0.9920  0.4990  0.4992  1 O 2.26
Zn  0.4991  0.7037  0.5680  4 O 1.97-1.98
Cu  0.9997  0.4587  0.8222  4 O 1.89
Cu  0.5001  0.2040  0.0687  4 O 1.95
Cu  0.9992  0.9625  0.3189  4 O 1.88-1.89
O  0.0440  0.7281  0.9063  1 Cu 2.32, 1 Sr 2.40, 1 La 2.44
O  0.0481  0.2388  0.4153  2 La 2.26-2.45, 1 Cu 2.45
O  0.2441  0.5635  0.6931  1 Cu 1.89, 1 Zn 1.97
O  0.2479  0.0808  0.1978  2 Cu 1.88-1.95
O  0.2495  0.8306  0.4348  1 Cu 1.89, 1 Zn 1.97
O  0.2535  0.3325  0.9377  2 Cu 1.89-1.95
O  0.4631  0.4839  0.1580  2 La 2.36-2.57, 1 Cu 2.42
O  0.4645  0.9756  0.6607  1 Zn 2.39, 2 La 2.40-2.56
O  0.5167  0.9381  0.9837  1 Cu 2.29, 1 La 2.37
O  0.5304  0.4435  0.4803  1 Zn 2.28, 1 La 2.39
O  0.7468  0.0949  0.2053  2 Cu 1.88-1.95
O  0.7481  0.5853  0.7043  1 Cu 1.89, 1 Zn 1.97
O  0.7514  0.3471  0.9467  2 Cu 1.89-1.95
O  0.7548  0.8518  0.4464  1 Cu 1.89, 1 Zn 1.98
O  0.9468  0.6656  0.2358  2 La 2.30-2.44, 1 Cu 2.50
O  0.9488  0.1832  0.7179  2 La 2.26-2.45, 1 Cu 2.50

=====

Below is CeRhC2 after structural relaxation, with properties calculated at the PBE level.

Summary:
Energy of formation: -103 kJ/mol of formula units
Space-group type: P4_3 (78)
Calculated volume: 14.52 A^3/atom
Electronic total energy: -131.3 eV per cell
Total magnetic moment: 2.67 Bohr magnetons per cell
Crystal system: tetragonal

abc: 3.8807 3.8807 15.4287
angles: 90.00 90.00 90.00
With the nearest neighbours (Å) after each atom.
Sites, in units of the cell vectors:
Ce  0.1432  0.1458  0.0000  8 C 2.75-2.93
Ce  0.1458  0.8568  0.2500  8 C 2.75-2.93
Ce  0.8542  0.1432  0.7500  8 C 2.75-2.93
Ce  0.8568  0.8542  0.5000  8 C 2.75-2.93
Rh  0.3460  0.6460  0.8457  4 C 2.03-2.15
Rh  0.3540  0.3460  0.5957  4 C 2.03-2.15
Rh  0.6460  0.6540  0.0957  4 C 2.03-2.15
Rh  0.6540  0.3540  0.3457  4 C 2.03-2.15
C  0.1457  0.3481  0.3904  1 C 1.37
C  0.3395  0.6490  0.7126  1 C 1.37
C  0.3481  0.8543  0.6404  1 C 1.37
C  0.3510  0.3395  0.4626  1 C 1.37
C  0.6490  0.6605  0.9626  1 C 1.37
C  0.6519  0.1457  0.1404  1 C 1.37
C  0.6605  0.3510  0.2126  1 C 1.37
C  0.8543  0.6519  0.8904  1 C 1.37